Record 1
The following is a DFT calculation (PBE) of Rb2CuPdF6 after structural relaxation.

Results
total DFT energy (no corrections)	-42.22	eV/cell
ΔE_f	-22.26	eV per formula unit
symmetry	Fm-3m
total energy after the MP2020 corrections	-44.99	eV/cell

```
Rb2CuPdF6
1.0
0.0000 4.2482 4.2482
4.2482 0.0000 4.2482
4.2482 4.2482 0.0000
Rb F Pd Cu
2 6 1 1
direct
0.2500 0.2500 0.2500
0.7500 0.7500 0.7500
0.2561 0.2561 0.7439
0.2561 0.7439 0.7439
0.2561 0.7439 0.2561
0.7439 0.2561 0.7439
0.7439 0.2561 0.2561
0.7439 0.7439 0.2561
0.0000 0.0000 0.0000
0.5000 0.5000 0.5000
```

***

Record 2
The following is a DFT calculation (PBE) of Rb2CuF6 after structural relaxation.

Results
total DFT energy (no corrections)	-35.25	eV/cell
ΔE_f	-20.48	eV per formula unit
symmetry	Fm-3m
total energy after the MP2020 corrections	-38.03	eV/cell

```
Rb2CuF6
1.0
4.8861 -0.0654 3.6606
0.9244 4.5719 3.9397
-0.6873 -0.9479 5.9923
Rb Cu F
2 1 6
direct
0.7500 0.7500 0.7500
0.2500 0.2500 0.2500
0.0000 0.0000 0.0000
0.7847 0.2153 0.7847
0.2153 0.7847 0.7847
0.2153 0.7847 0.2153
0.7847 0.7847 0.2153
0.2153 0.2153 0.7847
0.7847 0.2153 0.2153
```

***

Record 3
The following is a DFT calculation (PBE) of Rb2CuSbF6 after structural relaxation.

Results
total DFT energy (no corrections)	-43.69	eV/cell
ΔE_f	-24.78	eV per formula unit
symmetry	Fm-3m
total energy after the MP2020 corrections	-46.46	eV/cell

```
Rb2CuSbF6
1.0
-2.0508 -2.3037 5.5242
3.6315 -3.9867 3.3087
2.6729 1.9038 5.4093
F Rb Cu Sb
6 2 1 1
direct
0.2485 0.2485 0.7515
0.7515 0.2485 0.7515
0.2485 0.7515 0.2485
0.7515 0.7515 0.2485
0.2485 0.7515 0.7515
0.7515 0.2485 0.2485
0.2500 0.2500 0.2500
0.7500 0.7500 0.7500
0.5000 0.5000 0.5000
0.0000 0.0000 0.0000
```